[1]
Crystalline SrLaCuS3 at its relaxed geometry. Source: Materials Project, functional PBE.

crystal system: orthorhombic

The structure in CIF format:
```
data_SrLaCuS3
_symmetry_space_group_name_H-M 'P 1'
_symmetry_Int_Tables_number 1
_symmetry_space_group_name_Hall 'P 1'
_cell_length_a 4.1370
_cell_length_b 11.2306
_cell_length_c 11.6532
_cell_angle_alpha 90.00
_cell_angle_beta 90.00
_cell_angle_gamma 90.00
loop_
_atom_site_label
_atom_site_type_symbol
_atom_site_fract_x
_atom_site_fract_y
_atom_site_fract_z
S1 S 0.7500 0.7764 0.3043
S2 S 0.7500 0.9492 0.6412
La1 La 0.2500 0.4897 0.6831
La2 La 0.7500 0.0103 0.1831
Sr1 Sr 0.7500 0.6813 0.9923
Cu1 Cu 0.2500 0.7448 0.2116
S3 S 0.7500 0.4492 0.8588
Sr2 Sr 0.2500 0.3187 0.0077
S4 S 0.2500 0.5508 0.1412
S5 S 0.7500 0.2764 0.1957
S6 S 0.2500 0.7236 0.8043
S7 S 0.2500 0.3838 0.4413
La3 La 0.7500 0.5103 0.3169
La4 La 0.2500 0.9897 0.8169
Sr3 Sr 0.7500 0.1813 0.5077
S8 S 0.2500 0.8838 0.0587
Cu2 Cu 0.7500 0.2552 0.7884
Cu3 Cu 0.7500 0.7552 0.7116
Cu4 Cu 0.2500 0.2448 0.2884
Sr4 Sr 0.2500 0.8187 0.4923
S9 S 0.7500 0.6162 0.5587
S10 S 0.2500 0.0508 0.3588
S11 S 0.2500 0.2236 0.6957
S12 S 0.7500 0.1162 0.9413
```

***

[2]
Crystalline La6CuSb15 at its relaxed geometry. Source: Materials Project, functional PBE.

crystal system: monoclinic

The structure in CIF format:
```
data_La6CuSb15
_symmetry_space_group_name_H-M 'P 1'
_symmetry_Int_Tables_number 1
_symmetry_space_group_name_Hall 'P 1'
_cell_length_a 12.6915
_cell_length_b 12.6915
_cell_length_c 4.3541
_cell_angle_alpha 80.29
_cell_angle_beta 80.29
_cell_angle_gamma 101.23
loop_
_atom_site_label
_atom_site_type_symbol
_atom_site_fract_x
_atom_site_fract_y
_atom_site_fract_z
Sb1 Sb 0.7524 0.5416 0.2798
Sb2 Sb 0.5416 0.7524 0.2798
La1 La 0.2682 0.0046 0.7952
Sb3 Sb 0.2459 0.4661 0.5746
La2 La 0.7279 0.9949 0.0738
La3 La 0.3245 0.6767 0.9299
La4 La 0.9949 0.7279 0.0738
La5 La 0.6767 0.3245 0.9299
Sb4 Sb 0.4661 0.2459 0.5746
Sb5 Sb 0.5133 0.9158 0.7167
La6 La 0.0046 0.2682 0.7952
Sb6 Sb 0.1569 0.1569 0.2749
Sb7 Sb 0.0812 0.4854 0.1440
Sb8 Sb 0.8522 0.8522 0.5860
Sb9 Sb 0.4045 0.4045 0.0215
Cu1 Cu 0.2598 0.2598 0.6811
Sb10 Sb 0.5970 0.5970 0.8337
Sb11 Sb 0.9932 0.9932 0.9772
Sb12 Sb 0.9158 0.5133 0.7167
Sb13 Sb 0.1987 0.7996 0.4324
Sb14 Sb 0.4854 0.0812 0.1440
Sb15 Sb 0.7996 0.1987 0.4324
```

***

| no. | formation energy (eV/atom) |
| --- | --- |
| 1 | -1.97 |
| 2 | -0.86 |